# NaMnPCO7

An optimized crystal structure of NaMnPCO7 (PBE+U, the Materials Project).

Computed properties:
ΔE_f ... -23.92 eV per formula unit
Spin magnetization ... 12.00 μB/cell
Calculated volume ... 13.7 Å³/atom

Cell: 6.2482 5.2462 18.3631 Å, 87.52 90.00 90.00°
Last column: nearest neighbours and their distance in Å.
Fractional coordinates of all 44 atoms:
Na (0.9720, 0.7587, 0.8807)  4 O 2.25-2.51
Na (0.4720, 0.2413, 0.6193)  4 O 2.25-2.51
Na (0.5280, 0.7587, 0.3807)  4 O 2.25-2.51
Na (0.0280, 0.2413, 0.1193)  4 O 2.25-2.51
Mn (0.2667, 0.2170, 0.8277)  6 O 1.90-1.99
Mn (0.7667, 0.7830, 0.6723)  6 O 1.90-1.99
Mn (0.2333, 0.2170, 0.3277)  6 O 1.90-1.99
Mn (0.7333, 0.7830, 0.1723)  6 O 1.90-1.99
P (0.7602, 0.2775, 0.7826)  4 O 1.53-1.55
P (0.2602, 0.7225, 0.7174)  4 O 1.53-1.55
P (0.7398, 0.2775, 0.2826)  4 O 1.53-1.55
P (0.2398, 0.7225, 0.2174)  4 O 1.53-1.55
C (0.2546, 0.2740, 0.9579)  3 O 1.23-1.33
C (0.7546, 0.7260, 0.5421)  3 O 1.23-1.33
C (0.2454, 0.2740, 0.4579)  3 O 1.23-1.33
C (0.7454, 0.7260, 0.0421)  3 O 1.23-1.33
O (0.7520, 0.6938, 0.9764)  1 C 1.23
O (0.2579, 0.0509, 0.9272)  1 C 1.32
O (0.2576, 0.4615, 0.9066)  1 C 1.33
O (0.9541, 0.2082, 0.8327)  1 P 1.55
O (0.5697, 0.2143, 0.8338)  1 P 1.54
O (0.7676, 0.5678, 0.7617)  1 P 1.55
O (0.2529, 0.8743, 0.7870)  1 P 1.53
O (0.7529, 0.1257, 0.7130)  1 P 1.53
O (0.2676, 0.4322, 0.7383)  1 P 1.55
O (0.4541, 0.7918, 0.6673)  1 P 1.55
O (0.0697, 0.7857, 0.6662)  1 P 1.54
O (0.7576, 0.5385, 0.5934)  1 C 1.33
O (0.7579, 0.9491, 0.5728)  1 C 1.32
O (0.2520, 0.3062, 0.5236)  1 C 1.23
O (0.7480, 0.6938, 0.4764)  1 C 1.23
O (0.2421, 0.0509, 0.4272)  1 C 1.32
O (0.2424, 0.4615, 0.4066)  1 C 1.33
O (0.9303, 0.2143, 0.3338)  1 P 1.54
O (0.5459, 0.2082, 0.3327)  1 P 1.55
O (0.7324, 0.5678, 0.2617)  1 P 1.55
O (0.2471, 0.8743, 0.2870)  1 P 1.53
O (0.7471, 0.1257, 0.2130)  1 P 1.53
O (0.2324, 0.4322, 0.2383)  1 P 1.55
O (0.4303, 0.7857, 0.1662)  1 P 1.54
O (0.0459, 0.7918, 0.1673)  1 P 1.55
O (0.7424, 0.5385, 0.0934)  1 C 1.33
O (0.7421, 0.9491, 0.0728)  1 C 1.32
O (0.2480, 0.3062, 0.0236)  1 C 1.23